Record 1
{"formula": "Li4V3P8O29", "functional": "GGA+U", "state": "relaxed", "lattice_angstrom": [[-6.634, -6.950, 1.714], [1.501, -6.491, 7.163], [-6.676, 8.563, 9.196]], "species": ["Li", "O", "Li", "O", "O", "O", "V", "O", "O", "P", "V", "O", "P", "V", "O", "O", "O", "P", "P", "O", "O", "O", "O", "Li", "O", "O", "O", "O", "P", "O", "O", "O", "O", "V", "O", "V", "P", "O", "P", "O", "O", "V", "Li", "O", "O", "O", "Li", "O", "O", "P", "Li", "O", "O", "O", "O", "O", "O", "O", "O", "O", "P", "O", "P", "O", "P", "P", "O", "O", "O", "P", "O", "P", "O", "P", "O", "O", "O", "P", "O", "O", "O", "Li", "O", "O", "O", "O", "O", "Li"], "frac_coords": [[0.098, 0.666, 0.557], [0.658, 0.256, 0.827], [0.001, 0.999, 0.491], [0.921, 0.463, 0.671], [0.983, 0.217, 0.762], [0.816, 0.660, 0.819], [0.434, 0.003, 0.747], [0.798, 0.006, 0.583], [0.920, 0.741, 0.662], [0.774, 0.314, 0.161], [0.996, 0.437, 0.253], [0.013, 0.244, 0.938], [0.333, 0.335, 0.131], [0.437, 0.566, 0.253], [0.660, 0.522, 0.818], [0.214, 0.799, 0.759], [0.917, 0.342, 0.160], [0.224, 0.086, 0.341], [0.308, 0.776, 0.660], [0.083, 0.258, 0.328], [0.989, 0.801, 0.257], [0.747, 0.916, 0.159], [0.343, 0.914, 0.660], [0.235, 0.093, 0.556], [0.673, 0.809, 0.326], [0.656, 0.089, 0.329], [0.464, 0.617, 0.671], [0.085, 0.532, 0.329], [0.318, 0.911, 0.160], [0.201, 0.019, 0.430], [0.244, 0.750, 0.933], [0.768, 0.225, 0.079], [0.205, 0.788, 0.580], [0.568, 0.998, 0.251], [0.487, 0.327, 0.669], [0.001, 0.565, 0.750], [0.917, 0.306, 0.663], [0.252, 0.082, 0.836], [0.085, 0.689, 0.342], [0.206, 0.994, 0.251], [0.669, 0.658, 0.970], [0.566, 0.433, 0.750], [0.234, 0.670, 0.059], [0.240, 0.999, 0.072], [0.341, 0.742, 0.160], [0.515, 0.817, 0.828], [0.686, 0.086, 0.061], [0.321, 0.191, 0.664], [0.530, 0.384, 0.328], [0.688, 0.226, 0.343], [0.673, 0.234, 0.559], [0.019, 0.769, 0.434], [0.742, 0.019, 0.936], [0.517, 0.667, 0.322], [0.336, 0.482, 0.174], [0.520, 0.098, 0.819], [0.813, 0.515, 0.322], [0.257, 0.657, 0.329], [0.013, 0.763, 0.078], [0.379, 0.085, 0.331], [0.230, 0.682, 0.842], [0.623, 0.917, 0.669], [0.681, 0.088, 0.843], [0.743, 0.342, 0.660], [0.780, 0.915, 0.661], [0.665, 0.667, 0.866], [0.187, 0.490, 0.672], [0.908, 0.619, 0.179], [0.085, 0.660, 0.834], [0.915, 0.772, 0.160], [0.009, 0.201, 0.583], [0.332, 0.336, 0.628], [0.323, 0.346, 0.027], [0.667, 0.667, 0.369], [0.476, 0.904, 0.178], [0.099, 0.381, 0.819], [0.620, 0.473, 0.178], [0.087, 0.231, 0.845], [0.668, 0.654, 0.472], [0.802, 0.984, 0.761], [0.327, 0.350, 0.524], [0.311, 0.913, 0.941], [0.381, 0.521, 0.821], [0.767, 0.214, 0.435], [0.483, 0.184, 0.167], [0.801, 0.214, 0.258], [0.183, 0.336, 0.175], [0.086, 0.231, 0.062]], "de_polymorph_ev_per_fu": 0.31, "space_group": "P1 (1)"}

---

Record 2
{"formula": "La7SmV8O24", "functional": "GGA+U", "state": "relaxed", "lattice_angstrom": [[7.904, 0.000, 0.000], [0.000, 7.904, 0.000], [0.000, 0.000, 7.904]], "species": ["O", "V", "O", "O", "O", "O", "La", "V", "O", "V", "V", "O", "O", "O", "O", "O", "Sm", "O", "O", "O", "O", "La", "La", "O", "La", "O", "O", "V", "O", "La", "La", "O", "V", "O", "O", "La", "O", "V", "V", "O"], "frac_coords": [[0.249, 0.751, 0.000], [0.750, 0.250, 0.250], [0.500, 0.750, 0.750], [0.750, 0.500, 0.750], [0.250, 0.500, 0.250], [0.250, 0.500, 0.750], [0.500, 0.500, 0.000], [0.750, 0.250, 0.750], [0.751, 0.751, 0.000], [0.250, 0.250, 0.750], [0.250, 0.750, 0.250], [0.000, 0.249, 0.751], [0.000, 0.751, 0.249], [0.250, 0.250, 0.500], [0.249, 0.249, 0.000], [0.000, 0.751, 0.751], [0.000, 0.000, 0.000], [0.751, 0.000, 0.751], [0.500, 0.250, 0.250], [0.249, 0.000, 0.249], [0.249, 0.000, 0.751], [0.000, 0.500, 0.500], [0.500, 0.500, 0.500], [0.500, 0.250, 0.750], [0.000, 0.000, 0.500], [0.751, 0.000, 0.249], [0.000, 0.249, 0.249], [0.750, 0.750, 0.750], [0.750, 0.750, 0.500], [0.500, 0.000, 0.000], [0.000, 0.500, 0.000], [0.250, 0.750, 0.500], [0.750, 0.750, 0.250], [0.750, 0.250, 0.500], [0.751, 0.249, 0.000], [0.500, 0.000, 0.500], [0.500, 0.750, 0.250], [0.250, 0.250, 0.250], [0.250, 0.750, 0.750], [0.750, 0.500, 0.250]], "space_group": "Pm-3m (221)"}

---

Record 3
{"formula": "MgV2Fe4O8", "functional": "GGA+U", "state": "relaxed", "lattice_angstrom": [[0.259, -6.245, 0.297], [4.651, -2.943, -2.697], [4.461, -2.559, 3.520]], "species": ["O", "V", "Fe", "O", "O", "Mg", "O", "O", "O", "V", "Fe", "O", "O", "Fe", "Fe"], "frac_coords": [[0.879, 0.834, 0.881], [0.583, 0.657, 0.104], [0.027, 0.976, 0.021], [0.299, 0.468, 0.299], [0.879, 0.407, 0.881], [0.112, 0.385, 0.119], [0.299, 0.934, 0.299], [0.407, 0.887, 0.819], [0.772, 0.431, 0.366], [0.101, 0.658, 0.584], [0.648, 0.130, 0.654], [0.359, 0.432, 0.776], [0.825, 0.887, 0.401], [0.433, 0.076, 0.415], [0.648, 0.569, 0.654]], "de_polymorph_ev_per_fu": 0.00, "space_group": "Cm (8)"}

---

Record 4
{"formula": "Fe2O3", "functional": "GGA+U", "state": "relaxed", "lattice_angstrom": [[-3.505, -6.911, 3.434], [0.708, -4.034, -7.399], [22.942, -8.268, 6.703]], "species": ["O", "O", "Fe", "Fe", "O", "O", "Fe", "Fe", "O", "O", "O", "Fe", "Fe", "O", "O", "Fe", "O", "Fe", "O", "O", "O", "O", "O", "O", "Fe", "O", "O", "Fe", "Fe", "Fe", "Fe", "O", "O", "O", "O", "O", "O", "Fe", "Fe", "Fe", "Fe", "O", "O", "O", "O", "O", "O", "O", "O", "Fe", "O", "O", "O", "Fe", "Fe", "O", "Fe", "Fe", "O", "O", "O", "O", "O", "Fe", "O", "O", "O", "Fe", "O", "O", "O", "Fe", "O", "O", "O", "O", "O", "Fe", "Fe", "O", "O", "O", "Fe", "Fe", "O", "Fe", "Fe", "Fe", "Fe", "Fe", "Fe", "Fe", "Fe", "Fe", "O", "O", "O", "Fe", "O", "Fe", "Fe", "O", "Fe", "Fe", "O", "O", "O", "O", "O", "Fe", "O", "Fe", "O", "Fe", "O", "O", "Fe", "O", "O", "Fe", "Fe", "O", "Fe", "O", "Fe", "O", "Fe", "O", "O", "O", "O", "O", "O", "O", "Fe", "Fe", "O", "Fe", "O", "O", "Fe", "Fe", "O", "Fe", "O", "O", "O", "Fe", "Fe", "O", "O", "O", "Fe", "Fe", "O", "O", "O", "Fe", "Fe", "O"], "frac_coords": [[0.012, 0.139, 0.294], [0.764, 0.887, 0.454], [0.009, 0.864, 0.459], [0.001, 0.125, 0.375], [0.492, 0.390, 0.710], [0.257, 0.356, 0.789], [0.628, 0.754, 0.499], [0.248, 0.120, 0.960], [0.009, 0.368, 0.371], [0.260, 0.617, 0.369], [0.741, 0.867, 0.629], [0.870, 0.497, 0.081], [0.998, 0.375, 0.959], [0.239, 0.887, 0.465], [0.490, 0.382, 0.378], [0.624, 0.756, 0.166], [0.262, 0.359, 0.453], [0.751, 0.130, 0.462], [0.263, 0.109, 0.544], [0.489, 0.882, 0.870], [0.270, 0.138, 0.704], [0.759, 0.883, 0.119], [0.228, 0.891, 0.955], [0.766, 0.858, 0.963], [0.881, 0.999, 0.920], [0.491, 0.149, 0.954], [0.758, 0.117, 0.376], [0.743, 0.620, 0.289], [0.010, 0.624, 0.873], [0.503, 0.377, 0.125], [0.510, 0.129, 0.212], [0.996, 0.884, 0.379], [0.993, 0.609, 0.289], [0.744, 0.637, 0.372], [0.266, 0.619, 0.044], [0.487, 0.365, 0.201], [0.981, 0.857, 0.045], [0.503, 0.627, 0.041], [0.762, 0.878, 0.708], [0.252, 0.625, 0.124], [0.256, 0.868, 0.875], [0.763, 0.388, 0.957], [0.737, 0.360, 0.453], [0.759, 0.644, 0.546], [0.486, 0.884, 0.544], [0.746, 0.366, 0.795], [0.733, 0.366, 0.120], [0.989, 0.119, 0.129], [0.242, 0.132, 0.370], [0.740, 0.879, 0.372], [0.992, 0.384, 0.879], [0.242, 0.636, 0.882], [0.015, 0.867, 0.539], [0.750, 0.376, 0.877], [0.869, 0.500, 0.417], [0.741, 0.134, 0.874], [0.749, 0.629, 0.959], [0.493, 0.632, 0.375], [0.995, 0.856, 0.714], [0.770, 0.866, 0.296], [0.513, 0.604, 0.295], [0.261, 0.382, 0.122], [0.985, 0.641, 0.796], [0.620, 0.252, 0.667], [0.495, 0.612, 0.121], [0.755, 0.618, 0.881], [0.241, 0.867, 0.126], [0.748, 0.875, 0.040], [0.509, 0.373, 0.872], [0.509, 0.131, 0.463], [0.772, 0.385, 0.296], [0.990, 0.367, 0.624], [0.235, 0.361, 0.294], [0.485, 0.890, 0.202], [0.519, 0.612, 0.965], [0.507, 0.632, 0.628], [0.739, 0.109, 0.204], [0.490, 0.382, 0.792], [0.747, 0.616, 0.621], [0.986, 0.630, 0.464], [0.008, 0.626, 0.128], [0.240, 0.364, 0.628], [0.373, 0.000, 0.418], [0.376, 0.491, 0.249], [0.245, 0.634, 0.205], [0.626, 0.257, 0.333], [0.252, 0.872, 0.541], [0.129, 0.742, 0.668], [0.124, 0.241, 0.835], [0.002, 0.621, 0.540], [0.239, 0.376, 0.711], [0.124, 0.752, 0.332], [0.130, 0.252, 0.501], [0.120, 0.749, 0.000], [0.006, 0.149, 0.954], [0.991, 0.618, 0.620], [0.764, 0.883, 0.789], [0.125, 0.251, 0.168], [0.256, 0.117, 0.213], [0.372, 0.000, 0.751], [0.873, 0.997, 0.582], [0.243, 0.647, 0.546], [0.624, 0.250, 0.002], [0.257, 0.875, 0.211], [0.758, 0.641, 0.211], [0.261, 0.117, 0.881], [0.272, 0.611, 0.703], [0.020, 0.391, 0.545], [0.517, 0.613, 0.455], [0.498, 0.125, 0.542], [0.508, 0.866, 0.380], [0.989, 0.617, 0.208], [0.014, 0.385, 0.215], [0.499, 0.874, 0.625], [0.733, 0.111, 0.711], [0.491, 0.115, 0.620], [0.498, 0.626, 0.708], [0.515, 0.614, 0.785], [0.991, 0.120, 0.456], [0.879, 0.998, 0.248], [0.004, 0.874, 0.791], [0.235, 0.896, 0.289], [0.001, 0.886, 0.122], [0.231, 0.891, 0.796], [0.365, 0.499, 0.583], [0.738, 0.636, 0.038], [0.499, 0.384, 0.462], [0.761, 0.383, 0.630], [0.985, 0.611, 0.955], [0.492, 0.391, 0.046], [0.504, 0.860, 0.706], [0.011, 0.390, 0.035], [0.257, 0.882, 0.621], [0.235, 0.368, 0.961], [0.243, 0.365, 0.041], [0.504, 0.114, 0.878], [0.733, 0.636, 0.704], [0.757, 0.127, 0.790], [0.504, 0.142, 0.128], [0.007, 0.866, 0.871], [0.252, 0.126, 0.292], [0.753, 0.132, 0.124], [0.511, 0.135, 0.796], [0.874, 0.508, 0.749], [0.987, 0.107, 0.796], [0.012, 0.862, 0.204], [0.008, 0.136, 0.618], [0.387, 0.997, 0.082], [0.251, 0.384, 0.377], [0.010, 0.399, 0.704], [0.483, 0.148, 0.288], [0.268, 0.131, 0.037], [0.626, 0.747, 0.832], [0.999, 0.373, 0.291], [0.732, 0.105, 0.045], [0.481, 0.357, 0.540], [0.518, 0.854, 0.046], [0.242, 0.123, 0.627], [0.380, 0.501, 0.920], [0.729, 0.109, 0.539]], "space_group": "P1 (1)"}

---

Record 5
{"formula": "MgCd2Te2Mo2O12", "functional": "GGA+U", "state": "relaxed", "lattice_angstrom": [[-3.346, 2.709, 3.310], [2.610, -1.223, 4.534], [5.815, 8.477, -1.060]], "species": ["O", "Te", "O", "O", "O", "Cd", "Mo", "O", "Mo", "O", "Cd", "Te", "O", "O", "Mg", "O", "O", "O", "O"], "frac_coords": [[0.657, 0.762, 0.118], [0.500, 0.000, 0.726], [0.667, 0.199, 0.613], [0.831, 0.743, 0.710], [0.169, 0.257, 0.710], [0.000, 0.000, 0.482], [0.500, 0.000, 0.242], [0.333, 0.801, 0.613], [0.000, 0.500, 0.808], [0.207, 0.290, 0.388], [0.500, 0.500, 0.470], [0.000, 0.500, 0.265], [0.254, 0.768, 0.313], [0.746, 0.232, 0.313], [0.500, 0.500, 0.035], [0.224, 0.627, 0.907], [0.793, 0.710, 0.388], [0.343, 0.238, 0.118], [0.776, 0.373, 0.907]], "de_polymorph_ev_per_fu": 0.55, "space_group": "P2 (3)"}

---

Record 6
{"formula": "CoH12Br2O6", "functional": "GGA+U", "state": "relaxed", "lattice_angstrom": [[5.781, 3.186, 0.284], [7.667, -18.841, 11.687], [-0.995, -3.210, -5.690]], "species": ["H", "O", "O", "O", "O", "H", "H", "H", "Co", "H", "O", "O", "H", "H", "H", "H", "O", "H", "H", "O", "Br", "H", "H", "H", "Co", "O", "Br", "O", "O", "O", "Br", "H", "O", "Br", "H", "H", "O", "Br", "H", "H", "O", "Co", "O", "H", "H", "H", "H", "O", "O", "H", "H", "H", "H", "H", "O", "O", "O", "O", "H", "H", "Br", "H", "H", "O", "H", "H", "H", "H", "H", "Co", "H", "Br", "Br", "H", "H", "O", "H", "H", "H", "H", "H", "H", "H", "H"], "frac_coords": [[0.583, 0.945, 0.839], [0.938, 0.325, 0.387], [0.878, 0.061, 0.780], [0.219, 0.689, 0.067], [0.281, 0.061, 0.183], [0.359, 0.045, 0.686], [0.171, 0.683, 0.902], [0.719, 0.567, 0.238], [0.500, 0.250, 0.750], [0.170, 0.183, 0.401], [0.781, 0.811, 0.433], [0.438, 0.075, 0.637], [0.218, 0.817, 0.988], [0.084, 0.638, 0.554], [0.106, 0.445, 0.862], [0.281, 0.933, 0.262], [0.122, 0.939, 0.219], [0.859, 0.795, 0.936], [0.894, 0.055, 0.638], [0.378, 0.311, 0.530], [0.295, 0.789, 0.494], [0.641, 0.955, 0.314], [0.781, 0.183, 0.012], [0.141, 0.705, 0.564], [0.000, 0.000, 0.000], [0.878, 0.561, 0.281], [0.795, 0.039, 0.244], [0.281, 0.561, 0.683], [0.219, 0.189, 0.567], [0.719, 0.939, 0.817], [0.705, 0.211, 0.506], [0.718, 0.067, 0.738], [0.622, 0.189, 0.970], [0.295, 0.289, 0.994], [0.917, 0.305, 0.911], [0.584, 0.887, 0.303], [0.719, 0.439, 0.317], [0.205, 0.461, 0.255], [0.394, 0.305, 0.388], [0.106, 0.945, 0.362], [0.938, 0.825, 0.887], [0.000, 0.500, 0.500], [0.122, 0.439, 0.720], [0.584, 0.388, 0.804], [0.219, 0.317, 0.488], [0.916, 0.363, 0.447], [0.393, 0.805, 0.888], [0.062, 0.175, 0.113], [0.438, 0.575, 0.137], [0.282, 0.433, 0.762], [0.917, 0.805, 0.411], [0.141, 0.205, 0.064], [0.606, 0.195, 0.112], [0.641, 0.455, 0.814], [0.622, 0.689, 0.470], [0.781, 0.311, 0.933], [0.062, 0.675, 0.613], [0.378, 0.811, 0.030], [0.606, 0.695, 0.612], [0.416, 0.112, 0.696], [0.205, 0.961, 0.756], [0.359, 0.545, 0.186], [0.859, 0.295, 0.436], [0.562, 0.425, 0.863], [0.329, 0.567, 0.848], [0.083, 0.195, 0.589], [0.084, 0.138, 0.054], [0.417, 0.055, 0.161], [0.671, 0.433, 0.152], [0.500, 0.750, 0.250], [0.417, 0.555, 0.661], [0.795, 0.539, 0.745], [0.705, 0.711, 0.006], [0.830, 0.317, 0.099], [0.916, 0.862, 0.946], [0.562, 0.925, 0.363], [0.583, 0.445, 0.339], [0.829, 0.817, 0.598], [0.416, 0.612, 0.196], [0.781, 0.683, 0.512], [0.330, 0.067, 0.349], [0.670, 0.933, 0.651], [0.894, 0.555, 0.138], [0.083, 0.695, 0.089]]}

---

In the order shown, the computed ΔE_f values come out to -2576.4; -3145.7; -1863.4; -1481.7; -1770.6; -1157.5 meV/atom.
In the order shown, the computed magnetization values come out to 1.0; 16.0; 12.0; 7.6; 2.0; 3.0 μB/f.u..
In the order shown, the computed raw total energy values come out to -620.044; -326.433; -103.263; -1043.827; -109.792; -397.319 eV/cell.